No. 1
Compound: SrTeO3
Source: the Materials Project
Functional: PBE-GGA
Structure: optimized geometry

- Density: 4.6 g cm⁻³
- Total energy: -5.9015 eV per atom
- Formation energy from the elements: -2.38 eV per atom

a b c (Å): 5.9925 14.6050 26.8013
angles (deg): 83.30 83.59 78.18
Last column: nearest neighbours and their distance in Å.
Fractional coordinates of all 120 atoms:
Sr (0.0000, 0.0000, 0.0000)  4 O 2.56-2.65
Sr (0.0076, 0.8845, 0.1519)  5 O 2.50-2.67
Sr (0.0892, 0.2888, 0.5602)  5 O 2.48-2.67
Sr (0.1464, 0.4071, 0.4174)  5 O 2.44-2.53
Sr (0.2085, 0.5972, 0.1126)  5 O 2.45-2.74
Sr (0.2248, 0.9029, 0.6654)  5 O 2.47-2.67
Sr (0.2662, 0.7833, 0.8074)  5 O 2.44-2.54
Sr (0.2899, 0.1930, 0.2243)  5 O 2.57-2.86
Sr (0.3375, 0.3071, 0.0724)  5 O 2.50-2.65
Sr (0.3736, 0.5187, 0.7852)  7 O 2.59-2.74
Sr (0.4225, 0.8445, 0.3617)  6 O 2.47-2.58
Sr (0.4702, 0.1734, 0.9390)  7 O 2.60-2.71
Sr (0.5062, 0.3858, 0.6527)  5 O 2.50-2.67
Sr (0.5513, 0.4969, 0.5002)  4 O 2.58-2.67
Sr (0.5795, 0.9093, 0.9173)  5 O 2.45-2.54
Sr (0.6155, 0.7887, 0.0602)  5 O 2.46-2.66
Sr (0.6326, 0.0960, 0.6131)  5 O 2.45-2.75
Sr (0.6953, 0.2822, 0.3066)  5 O 2.44-2.54
Sr (0.7557, 0.4029, 0.1643)  5 O 2.47-2.67
Sr (0.8357, 0.8066, 0.5724)  5 O 2.51-2.67
Sr (0.8474, 0.6928, 0.7237)  4 O 2.56-2.64
Sr (0.8731, 0.0175, 0.2853)  7 O 2.60-2.74
Sr (0.9224, 0.3453, 0.8622)  6 O 2.47-2.57
Sr (0.9681, 0.6717, 0.4394)  7 O 2.60-2.72
Te (0.0206, 0.7296, 0.2886)  3 O 1.87-1.90
Te (0.0790, 0.0511, 0.8624)  3 O 1.89-1.90
Te (0.1068, 0.1865, 0.6894)  3 O 1.88-1.91
Te (0.1452, 0.7522, 0.9780)  3 O 1.87-1.89
Te (0.1670, 0.4393, 0.2463)  3 O 1.87-1.89
Te (0.2759, 0.0038, 0.5365)  3 O 1.88-1.91
Te (0.2828, 0.1414, 0.3620)  3 O 1.89-1.90
Te (0.3305, 0.4602, 0.9349)  3 O 1.87-1.90
Te (0.3859, 0.6600, 0.6547)  3 O 1.90-1.92
Te (0.4050, 0.7580, 0.5015)  3 O 1.88-1.90
Te (0.4376, 0.9316, 0.2226)  3 O 1.89-1.90
Te (0.4582, 0.0309, 0.0698)  3 O 1.90-1.92
Te (0.5120, 0.2307, 0.7889)  3 O 1.87-1.90
Te (0.5604, 0.5487, 0.3625)  3 O 1.89-1.90
Te (0.5652, 0.6869, 0.1894)  3 O 1.88-1.91
Te (0.6771, 0.2496, 0.4781)  3 O 1.87-1.89
Te (0.6969, 0.9398, 0.7479)  3 O 1.87-1.89
Te (0.7327, 0.5062, 0.0353)  3 O 1.88-1.91
Te (0.7663, 0.6424, 0.8618)  3 O 1.89-1.90
Te (0.8283, 0.9593, 0.4356)  3 O 1.87-1.90
Te (0.8525, 0.1607, 0.1547)  3 O 1.90-1.92
Te (0.8866, 0.2598, 0.0021)  3 O 1.89-1.90
Te (0.9584, 0.4315, 0.7231)  3 O 1.88-1.90
Te (0.9901, 0.5307, 0.5698)  3 O 1.90-1.92
O (0.0133, 0.9741, 0.5764)  1 Te 1.90
O (0.0215, 0.1495, 0.3270)  1 Te 1.89
O (0.0317, 0.8459, 0.2494)  1 Te 1.90
O (0.0390, 0.2535, 0.1354)  1 Te 1.92
O (0.0466, 0.4474, 0.9167)  1 Te 1.87
O (0.0541, 0.7141, 0.0450)  1 Te 1.87
O (0.0578, 0.6484, 0.8280)  1 Te 1.89
O (0.1051, 0.4799, 0.1796)  1 Te 1.87
O (0.1245, 0.7467, 0.3504)  1 Te 1.89
O (0.1248, 0.7523, 0.6356)  1 Te 1.92
O (0.1431, 0.9450, 0.4173)  1 Te 1.87
O (0.1549, 0.5100, 0.6900)  1 Te 1.89
O (0.1680, 0.1804, 0.0178)  1 Te 1.90
O (0.1898, 0.6775, 0.5174)  1 Te 1.90
O (0.1948, 0.9234, 0.8530)  1 Te 1.89
O (0.1979, 0.0098, 0.1887)  1 Te 1.89
O (0.2404, 0.9510, 0.0751)  1 Te 1.91
O (0.2445, 0.0473, 0.9193)  1 Te 1.90
O (0.2586, 0.0653, 0.6750)  1 Te 1.88
O (0.2668, 0.2692, 0.3703)  1 Te 1.89
O (0.2807, 0.4499, 0.5762)  1 Te 1.91
O (0.2940, 0.1259, 0.5491)  1 Te 1.88
O (0.2952, 0.6710, 0.7243)  1 Te 1.90
O (0.3055, 0.2510, 0.6444)  1 Te 1.91
O (0.3279, 0.2451, 0.8506)  1 Te 1.89
O (0.3339, 0.9650, 0.2882)  1 Te 1.89
O (0.3395, 0.5453, 0.4191)  1 Te 1.90
O (0.3510, 0.7500, 0.1431)  1 Te 1.91
O (0.3506, 0.8300, 0.9863)  1 Te 1.88
O (0.3882, 0.3293, 0.4868)  1 Te 1.89
O (0.4125, 0.3433, 0.9740)  1 Te 1.90
O (0.4212, 0.3481, 0.7509)  1 Te 1.90
O (0.4541, 0.3585, 0.2373)  1 Te 1.89
O (0.4925, 0.9405, 0.5821)  1 Te 1.91
O (0.4955, 0.8613, 0.7379)  1 Te 1.88
O (0.5031, 0.1427, 0.3053)  1 Te 1.90
O (0.5098, 0.7254, 0.4358)  1 Te 1.88
O (0.5147, 0.4426, 0.8734)  1 Te 1.89
O (0.5367, 0.4411, 0.0807)  1 Te 1.91
O (0.5497, 0.0209, 0.0002)  1 Te 1.90
O (0.5499, 0.5649, 0.1760)  1 Te 1.88
O (0.5623, 0.2420, 0.1493)  1 Te 1.90
O (0.5804, 0.6269, 0.0505)  1 Te 1.88
O (0.5846, 0.4210, 0.3532)  1 Te 1.89
O (0.6020, 0.7406, 0.6489)  1 Te 1.90
O (0.6028, 0.6454, 0.8047)  1 Te 1.90
O (0.6476, 0.6815, 0.5352)  1 Te 1.89
O (0.6526, 0.7706, 0.8703)  1 Te 1.89
O (0.6586, 0.0097, 0.2069)  1 Te 1.90
O (0.6761, 0.5091, 0.7062)  1 Te 1.90
O (0.6893, 0.1829, 0.0366)  1 Te 1.89
O (0.7049, 0.7444, 0.3061)  1 Te 1.87
O (0.7155, 0.9372, 0.0893)  1 Te 1.92
O (0.7195, 0.9427, 0.3744)  1 Te 1.89
O (0.7412, 0.2108, 0.5449)  1 Te 1.87
O (0.7865, 0.9816, 0.6814)  1 Te 1.87
O (0.7899, 0.0436, 0.8971)  1 Te 1.89
O (0.7945, 0.2455, 0.8069)  1 Te 1.87
O (0.8036, 0.4379, 0.5889)  1 Te 1.92
O (0.8200, 0.5415, 0.3980)  1 Te 1.89
O (0.8218, 0.8427, 0.4750)  1 Te 1.90
O (0.8295, 0.7171, 0.1505)  1 Te 1.90
O (0.8470, 0.3462, 0.4729)  1 Te 1.89
O (0.8539, 0.2175, 0.6498)  1 Te 1.90
O (0.8641, 0.1705, 0.2244)  1 Te 1.90
O (0.8799, 0.2259, 0.9366)  1 Te 1.89
O (0.8858, 0.8498, 0.9731)  1 Te 1.89
O (0.9580, 0.4659, 0.7887)  1 Te 1.88
O (0.9593, 0.8431, 0.7515)  1 Te 1.89
O (0.9821, 0.5190, 0.5003)  1 Te 1.90
O (0.9881, 0.4756, 0.0742)  1 Te 1.90
O (0.9936, 0.3440, 0.2505)  1 Te 1.89

***

No. 2
Compound: SrTeO3
Source: the Materials Project
Functional: PBE-GGA
Structure: optimized geometry

- Density: 4.1 g cm⁻³
- Total energy: -5.8732 eV per atom
- Formation energy from the elements: -2.35 eV per atom

a b c (Å): 5.9555 9.2007 12.3190
angles (deg): 110.47 90.05 90.83
Last column: nearest neighbours and their distance in Å.
Fractional coordinates of all 30 atoms:
Sr (0.0000, 0.0000, 0.0000)  5 O 2.45-2.56
Sr (0.0156, 0.0321, 0.4979)  7 O 2.47-2.70
Sr (0.0590, 0.3240, 0.3221)  6 O 2.44-2.73
Sr (0.5108, 0.6918, 0.4241)  6 O 2.41-2.66
Sr (0.5396, 0.0064, 0.2434)  4 O 2.45-2.72
Sr (0.5576, 0.9825, 0.7591)  5 O 2.43-2.60
Te (0.0102, 0.2977, 0.8344)  3 O 1.84-1.92
Te (0.0183, 0.7658, 0.2195)  3 O 1.88-1.90
Te (0.0331, 0.7220, 0.6052)  3 O 1.88-1.92
Te (0.4793, 0.7178, 0.8948)  3 O 1.87-1.92
Te (0.5092, 0.3174, 0.1191)  3 O 1.88-1.90
Te (0.5349, 0.3083, 0.5383)  3 O 1.86-1.92
O (0.0347, 0.5950, 0.4478)  1 Te 1.88
O (0.2599, 0.8478, 0.3244)  1 Te 1.90
O (0.2616, 0.8661, 0.5949)  1 Te 1.92
O (0.2809, 0.8551, 0.8559)  1 Te 1.92
O (0.2991, 0.2023, 0.4326)  1 Te 1.92
O (0.2996, 0.1666, 0.1306)  1 Te 1.90
O (0.4115, 0.4675, 0.2575)  1 Te 1.88
O (0.4642, 0.8021, 0.0566)  1 Te 1.87
O (0.5217, 0.5085, 0.5342)  1 Te 1.86
O (0.7309, 0.8242, 0.8628)  1 Te 1.89
O (0.7586, 0.2322, 0.1695)  1 Te 1.89
O (0.7650, 0.2123, 0.4305)  1 Te 1.91
O (0.7832, 0.8237, 0.3306)  1 Te 1.90
O (0.7922, 0.8499, 0.5936)  1 Te 1.90
O (0.8305, 0.1673, 0.8935)  1 Te 1.92
O (0.8879, 0.2250, 0.6819)  1 Te 1.90
O (0.9001, 0.4938, 0.9059)  1 Te 1.84
O (0.9698, 0.9423, 0.1790)  1 Te 1.88

***

No. 3
Compound: SrTeO3
Source: the Materials Project
Functional: PBE-GGA
Structure: optimized geometry

- Density: 4.9 g cm⁻³
- Total energy: -5.9014 eV per atom
- Formation energy from the elements: -2.38 eV per atom

a b c (Å): 6.9302 7.2772 8.8083
angles (deg): 90.00 126.68 90.00
Last column: nearest neighbours and their distance in Å.
Fractional coordinates of all 20 atoms:
Sr (0.1364, 0.1276, 0.3680)  7 O 2.54-2.84
Sr (0.1364, 0.3724, 0.8680)  7 O 2.54-2.84
Sr (0.8636, 0.6276, 0.1320)  7 O 2.54-2.84
Sr (0.8636, 0.8724, 0.6320)  7 O 2.54-2.84
Te (0.3701, 0.6696, 0.6055)  3 O 1.88-1.90
Te (0.3701, 0.8304, 0.1055)  3 O 1.88-1.90
Te (0.6299, 0.1696, 0.8945)  3 O 1.88-1.90
Te (0.6299, 0.3304, 0.3945)  3 O 1.88-1.90
O (0.0892, 0.6813, 0.9798)  1 Te 1.90
O (0.0892, 0.8187, 0.4798)  1 Te 1.90
O (0.2207, 0.0311, 0.9384)  1 Te 1.88
O (0.2207, 0.4689, 0.4384)  1 Te 1.88
O (0.3938, 0.5939, 0.8219)  1 Te 1.89
O (0.3938, 0.9061, 0.3219)  1 Te 1.89
O (0.6062, 0.0939, 0.6781)  1 Te 1.89
O (0.6062, 0.4061, 0.1781)  1 Te 1.89
O (0.7793, 0.5311, 0.5616)  1 Te 1.88
O (0.7793, 0.9689, 0.0616)  1 Te 1.88
O (0.9108, 0.1813, 0.5202)  1 Te 1.90
O (0.9108, 0.3187, 0.0202)  1 Te 1.90

***

no.,calculated volume (Å³/atom)
1,18.9
2,21.1
3,17.8